Entry 1:
Density functional theory data (GGA-PBE) for a relaxed Na5La2Nb2Si3P3O24 crystal.

a b c (Å): 9.354 9.395 22.680
angles (deg): 89.44 89.55 60.89
Space group P1 (No. 1)
One atom of each set of equivalent atoms:
Na 0.000 0.000 0.000 x1
Na 0.006 0.319 0.910 x1
Na 0.012 0.952 0.673 x1
Na 0.019 0.627 0.501 x1
Na 0.024 0.296 0.413 x1
Na 0.325 0.625 0.074 x1
Na 0.331 0.643 0.576 x1
Na 0.355 0.294 0.330 x1
Na 0.644 0.962 0.742 x1
Na 0.647 0.329 0.172 x1
Na 0.657 0.946 0.243 x1
Na 0.684 0.320 0.499 x1
Na 0.693 0.274 0.835 x1
Na 0.965 0.999 0.334 x1
Na 0.985 0.672 0.829 x1
La 0.004 0.324 0.058 x1
La 0.016 0.307 0.564 x1
La 0.326 0.654 0.222 x1
La 0.341 0.637 0.725 x1
La 0.655 0.977 0.397 x1
La 0.659 0.974 0.897 x1
Nb 0.001 0.315 0.762 x1
Nb 0.003 0.312 0.264 x1
Nb 0.338 0.652 0.430 x1
Nb 0.347 0.645 0.929 x1
Nb 0.654 0.985 0.096 x1
Nb 0.667 0.976 0.594 x1
Si 0.049 0.949 0.827 x1
Si 0.314 0.291 0.161 x1
Si 0.314 0.958 0.325 x1
Si 0.374 0.294 0.492 x1
Si 0.638 0.360 0.327 x1
Si 0.647 0.288 0.990 x1
Si 0.650 0.626 0.825 x1
Si 0.977 0.629 0.657 x1
Si 0.977 0.965 0.491 x1
P 0.048 0.623 0.332 x1
P 0.310 0.030 0.663 x1
P 0.311 0.361 0.831 x1
P 0.376 0.950 0.997 x1
P 0.647 0.688 0.499 x1
P 0.715 0.284 0.659 x1
P 0.725 0.617 0.162 x1
P 0.970 0.032 0.159 x1
P 0.979 0.698 0.993 x1
O 0.010 0.524 0.997 x1
O 0.046 0.128 0.817 x1
O 0.053 0.453 0.329 x1
O 0.108 0.859 0.166 x1
O 0.110 0.838 0.770 x1
O 0.122 0.675 0.662 x1
O 0.123 0.646 0.276 x1
O 0.131 0.131 0.323 x1
O 0.139 0.368 0.828 x1
O 0.143 0.705 0.997 x1
O 0.151 0.789 0.491 x1
O 0.164 0.610 0.386 x1
O 0.179 0.836 0.884 x1
O 0.183 0.342 0.496 x1
O 0.198 0.154 0.714 x1
O 0.199 0.078 0.007 x1
O 0.200 0.282 0.220 x1
O 0.215 0.311 0.103 x1
O 0.219 0.083 0.605 x1
O 0.296 0.485 0.882 x1
O 0.303 0.842 0.383 x1
O 0.326 0.860 0.268 x1
O 0.335 0.860 0.676 x1
O 0.339 0.424 0.773 x1
O 0.370 0.428 0.163 x1
O 0.384 0.779 0.994 x1
O 0.386 0.467 0.493 x1
O 0.432 0.983 0.939 x1
O 0.443 0.211 0.429 x1
O 0.450 0.189 0.840 x1
O 0.456 0.008 0.328 x1
O 0.473 0.464 0.988 x1
O 0.475 0.699 0.492 x1
O 0.476 0.031 0.659 x1
O 0.490 0.108 0.154 x1
O 0.497 0.941 0.048 x1
O 0.506 0.165 0.545 x1
O 0.524 0.490 0.384 x1
O 0.528 0.425 0.269 x1
O 0.534 0.612 0.883 x1
O 0.543 0.422 0.667 x1
O 0.548 0.646 0.768 x1
O 0.554 0.642 0.174 x1
O 0.630 0.810 0.550 x1
O 0.633 0.164 0.046 x1
O 0.667 0.196 0.929 x1
O 0.682 0.173 0.336 x1
O 0.702 0.738 0.443 x1
O 0.705 0.763 0.831 x1
O 0.720 0.113 0.660 x1
O 0.723 0.784 0.156 x1
O 0.772 0.511 0.511 x1
O 0.784 0.521 0.106 x1
O 0.785 0.298 0.600 x1
O 0.798 0.805 0.655 x1
O 0.799 0.034 0.159 x1
O 0.811 0.300 0.998 x1
O 0.817 0.359 0.318 x1
O 0.821 0.442 0.822 x1
O 0.839 0.272 0.711 x1
O 0.847 0.510 0.214 x1
O 0.854 0.947 0.546 x1
O 0.859 0.818 0.042 x1
O 0.860 0.992 0.837 x1
O 0.875 0.765 0.338 x1
O 0.886 0.975 0.430 x1
O 0.906 0.764 0.932 x1
O 0.959 0.152 0.212 x1
O 0.974 0.503 0.713 x1
O 0.981 0.106 0.101 x1
O 0.986 0.130 0.497 x1
O 0.993 0.544 0.595 x1

* DFT formation energy: -2940 meV/atom
* total energy after the MP2020 corrections: -7.759 eV per atom
* total DFT energy (no corrections): -7.337 eV per atom

Entry 2:
Density functional theory data (GGA-PBE) for a relaxed Na2LaNb3Si2P4O24 crystal.

a b c (Å): 9.006 9.016 23.252
angles (deg): 89.93 89.97 60.06
Space group P1 (No. 1)
One atom of each set of equivalent atoms:
Na 0.000 0.000 0.000 x1
Na 0.002 0.999 0.497 x1
Na 0.327 0.336 0.162 x1
Na 0.335 0.335 0.667 x1
Na 0.666 0.663 0.832 x1
Na 0.670 0.661 0.324 x1
La 0.002 0.997 0.357 x1
La 0.665 0.662 0.685 x1
La 0.671 0.662 0.175 x1
Nb 0.000 0.993 0.144 x1
Nb 0.000 0.997 0.857 x1
Nb 0.003 0.995 0.643 x1
Nb 0.332 0.329 0.518 x1
Nb 0.332 0.332 0.013 x1
Nb 0.333 0.325 0.309 x1
Nb 0.334 0.331 0.812 x1
Nb 0.659 0.668 0.477 x1
Nb 0.671 0.665 0.976 x1
Si 0.043 0.335 0.913 x1
Si 0.340 0.617 0.913 x1
Si 0.347 0.038 0.417 x1
Si 0.369 0.663 0.580 x1
Si 0.619 0.040 0.913 x1
Si 0.971 0.662 0.079 x1
P 0.010 0.286 0.247 x1
P 0.015 0.709 0.751 x1
P 0.043 0.601 0.417 x1
P 0.273 0.013 0.751 x1
P 0.290 0.696 0.247 x1
P 0.364 0.967 0.077 x1
P 0.605 0.348 0.417 x1
P 0.668 0.360 0.077 x1
P 0.670 0.960 0.579 x1
P 0.699 0.009 0.248 x1
P 0.713 0.269 0.751 x1
P 0.962 0.365 0.579 x1
O 0.007 0.817 0.803 x1
O 0.019 0.166 0.905 x1
O 0.022 0.778 0.420 x1
O 0.024 0.804 0.694 x1
O 0.027 0.172 0.193 x1
O 0.135 0.499 0.360 x1
O 0.136 0.364 0.856 x1
O 0.149 0.326 0.567 x1
O 0.151 0.502 0.469 x1
O 0.163 0.505 0.064 x1
O 0.166 0.302 0.967 x1
O 0.169 0.023 0.694 x1
O 0.170 0.808 0.904 x1
O 0.172 0.800 0.193 x1
O 0.174 0.003 0.804 x1
O 0.180 0.842 0.590 x1
O 0.181 0.531 0.753 x1
O 0.184 0.292 0.252 x1
O 0.184 0.979 0.085 x1
O 0.185 0.014 0.423 x1
O 0.212 0.796 0.302 x1
O 0.284 0.180 0.753 x1
O 0.290 0.521 0.252 x1
O 0.306 0.525 0.967 x1
O 0.328 0.510 0.567 x1
O 0.335 0.147 0.063 x1
O 0.346 0.153 0.470 x1
O 0.362 0.137 0.357 x1
O 0.366 0.495 0.856 x1
O 0.449 0.855 0.751 x1
O 0.460 0.915 0.134 x1
O 0.461 0.839 0.027 x1
O 0.471 0.661 0.241 x1
O 0.474 0.694 0.526 x1
O 0.476 0.615 0.638 x1
O 0.497 0.134 0.856 x1
O 0.503 0.345 0.469 x1
O 0.503 0.363 0.360 x1
O 0.507 0.637 0.924 x1
O 0.519 0.326 0.063 x1
O 0.521 0.145 0.567 x1
O 0.524 0.186 0.252 x1
O 0.527 0.849 0.423 x1
O 0.530 0.162 0.968 x1
O 0.533 0.283 0.753 x1
O 0.619 0.457 0.134 x1
O 0.623 0.512 0.422 x1
O 0.624 0.903 0.634 x1
O 0.638 0.851 0.923 x1
O 0.660 0.866 0.241 x1
O 0.694 0.461 0.027 x1
O 0.697 0.445 0.752 x1
O 0.699 0.836 0.527 x1
O 0.780 0.190 0.420 x1
O 0.798 0.987 0.302 x1
O 0.802 0.024 0.193 x1
O 0.805 0.167 0.694 x1
O 0.812 0.014 0.904 x1
O 0.820 0.169 0.804 x1
O 0.833 0.692 0.026 x1
O 0.836 0.973 0.587 x1
O 0.837 0.183 0.085 x1
O 0.840 0.460 0.528 x1
O 0.853 0.503 0.923 x1
O 0.856 0.693 0.751 x1
O 0.863 0.468 0.243 x1
O 0.866 0.611 0.422 x1
O 0.908 0.467 0.634 x1
O 0.921 0.611 0.138 x1
O 0.973 0.187 0.588 x1
O 0.980 0.841 0.088 x1
O 0.992 0.208 0.302 x1

* DFT formation energy: -2985 meV/atom
* total energy after the MP2020 corrections: -8.239 eV per atom
* total DFT energy (no corrections): -7.781 eV per atom

Which value of total DFT energy (no corrections) does entry 1 give? -7.337 eV per atom